Entry 1:
# BaCuPClO4

An optimized crystal structure of BaCuPClO4 (GGA-PBE, Materials Project).

Values from the calculation:
- SG: No. 19
- DFT formation energy: -2426 meV/atom
- Maximum piezoelectric response: 0.158 C/m²
- Mass density: 4.2 g/cm3
- Total magnetization: 4.001 Bohr magnetons per cell

a b c (Å): 7.3846 7.9951 8.8103
angles (deg): 90.00 90.00 90.00
With the nearest neighbours (Å) after each atom.
Fractional positions:
Ba: 0.1263 0.0176 0.2024  6 O 2.72-3.00
Ba: 0.3737 0.9824 0.7024  6 O 2.72-3.00
Ba: 0.6263 0.4824 0.7976  6 O 2.72-3.00
Ba: 0.8737 0.5176 0.2976  6 O 2.72-3.00
Cu: 0.1352 0.4846 0.6825  4 O 1.98-2.10
Cu: 0.3648 0.5154 0.1825  4 O 1.98-2.10
Cu: 0.6352 0.0154 0.3175  4 O 1.98-2.10
Cu: 0.8648 0.9846 0.8175  4 O 1.98-2.10
P: 0.1268 0.6838 0.9188  4 O 1.55-1.57
P: 0.3732 0.3162 0.4188  4 O 1.55-1.57
P: 0.6268 0.8162 0.0812  4 O 1.55-1.57
P: 0.8732 0.1838 0.5812  4 O 1.55-1.57
Cl: 0.1697 0.7382 0.4585  1 Cu 2.84, 1 Ba 3.15
Cl: 0.3303 0.2618 0.9585  1 Cu 2.84, 1 Ba 3.15
Cl: 0.6697 0.7618 0.5415  1 Cu 2.84, 1 Ba 3.15
Cl: 0.8303 0.2382 0.0415  1 Cu 2.84, 1 Ba 3.15
O: 0.0247 0.0770 0.6554  1 P 1.55
O: 0.0782 0.8740 0.9147  1 P 1.56
O: 0.1630 0.6397 0.0874  1 P 1.55
O: 0.2068 0.3503 0.3130  1 P 1.57
O: 0.2932 0.6497 0.8130  1 P 1.57
O: 0.3370 0.3603 0.5874  1 P 1.55
O: 0.4218 0.1260 0.4147  1 P 1.56
O: 0.4753 0.9230 0.1554  1 P 1.55
O: 0.5247 0.4230 0.3446  1 P 1.55
O: 0.5782 0.6260 0.0853  1 P 1.56
O: 0.6630 0.8603 0.9126  1 P 1.55
O: 0.7068 0.1497 0.6870  1 P 1.57
O: 0.7932 0.8503 0.1870  1 P 1.57
O: 0.8370 0.1397 0.4126  1 P 1.55
O: 0.9218 0.3740 0.5853  1 P 1.56
O: 0.9753 0.5770 0.8446  1 P 1.55

---

Entry 2:
# Al2Si2PbO8

An optimized crystal structure of Al2Si2PbO8 (GGA-PBE, Materials Project).

Values from the calculation:
- SG: No. 14
- DFT formation energy: -3104 meV/atom
- Offset from the most stable computed form: 1 meV/atom
- Mass density: 4.0 g/cm3
- Total magnetization: 0.000 Bohr magnetons per cell

a b c (Å): 8.5027 13.2333 14.5117
angles (deg): 90.00 115.12 90.00
With the nearest neighbours (Å) after each atom.
Fractional positions:
Al: 0.0526 0.1270 0.0810  4 O 1.75-1.78
Al: 0.0526 0.3730 0.5810  4 O 1.75-1.78
Al: 0.2501 0.5672 0.1322  4 O 1.74-1.79
Al: 0.2501 0.9328 0.6322  4 O 1.74-1.79
Al: 0.2551 0.5751 0.8664  4 O 1.74-1.79
Al: 0.2551 0.9249 0.3664  4 O 1.74-1.79
Al: 0.4448 0.1333 0.9214  4 O 1.75-1.78
Al: 0.4448 0.3667 0.4214  4 O 1.75-1.78
Al: 0.5552 0.6333 0.5786  4 O 1.75-1.78
Al: 0.5552 0.8667 0.0786  4 O 1.75-1.78
Al: 0.7449 0.0751 0.6336  4 O 1.74-1.79
Al: 0.7449 0.4249 0.1336  4 O 1.74-1.79
Al: 0.7499 0.0672 0.3678  4 O 1.74-1.79
Al: 0.7499 0.4328 0.8678  4 O 1.74-1.79
Al: 0.9474 0.6270 0.4190  4 O 1.75-1.78
Al: 0.9474 0.8730 0.9190  4 O 1.75-1.78
Si: 0.0587 0.1387 0.5722  4 O 1.62-1.65
Si: 0.0587 0.3613 0.0722  4 O 1.62-1.65
Si: 0.2426 0.5735 0.6418  4 O 1.63-1.67
Si: 0.2426 0.9265 0.1418  4 O 1.63-1.67
Si: 0.2642 0.5742 0.3603  4 O 1.61-1.66
Si: 0.2642 0.9258 0.8603  4 O 1.61-1.66
Si: 0.4332 0.1336 0.4251  4 O 1.62-1.66
Si: 0.4332 0.3664 0.9251  4 O 1.62-1.66
Si: 0.5668 0.6336 0.0749  4 O 1.62-1.66
Si: 0.5668 0.8664 0.5749  4 O 1.62-1.66
Si: 0.7358 0.0742 0.1397  4 O 1.61-1.66
Si: 0.7358 0.4258 0.6397  4 O 1.61-1.66
Si: 0.7574 0.0735 0.8582  4 O 1.63-1.67
Si: 0.7574 0.4265 0.3582  4 O 1.63-1.67
Si: 0.9413 0.6387 0.9278  4 O 1.62-1.65
Si: 0.9413 0.8613 0.4278  4 O 1.62-1.65
Pb: 0.0131 0.2326 0.3185  5 O 2.54-2.76
Pb: 0.0131 0.2674 0.8185  5 O 2.54-2.76
Pb: 0.4752 0.2502 0.1743  5 O 2.50-2.76
Pb: 0.4752 0.2498 0.6743  5 O 2.50-2.76
Pb: 0.5248 0.7502 0.3257  5 O 2.50-2.76
Pb: 0.5248 0.7498 0.8257  5 O 2.50-2.76
Pb: 0.9869 0.7326 0.1815  5 O 2.54-2.76
Pb: 0.9869 0.7674 0.6815  5 O 2.54-2.76
O: 0.0557 0.6325 0.0526  1 Si 1.65, 1 Al 1.79
O: 0.0557 0.8675 0.5526  1 Si 1.65, 1 Al 1.79
O: 0.0650 0.6179 0.5510  1 Si 1.63, 1 Al 1.75
O: 0.0650 0.8821 0.0510  1 Si 1.63, 1 Al 1.75
O: 0.0687 0.6238 0.8716  1 Si 1.62, 1 Al 1.74
O: 0.0687 0.8762 0.3716  1 Si 1.62, 1 Al 1.74
O: 0.0819 0.6226 0.3535  1 Si 1.64, 1 Al 1.77
O: 0.0819 0.8774 0.8535  1 Si 1.64, 1 Al 1.77
O: 0.1507 0.2484 0.1000  1 Si 1.65, 1 Al 1.78
O: 0.1507 0.2516 0.6000  1 Si 1.65, 1 Al 1.78
O: 0.2243 0.0623 0.6122  1 Si 1.63, 1 Al 1.74
O: 0.2243 0.4377 0.1122  1 Si 1.63, 1 Al 1.74
O: 0.2362 0.0494 0.1388  1 Si 1.63, 1 Al 1.76
O: 0.2362 0.4506 0.6388  1 Si 1.63, 1 Al 1.76
O: 0.2432 0.6214 0.7484  1 Si 1.67, 1 Al 1.78
O: 0.2432 0.8786 0.2484  1 Si 1.67, 1 Al 1.78
O: 0.2645 0.6113 0.2513  1 Si 1.66, 1 Al 1.78
O: 0.2645 0.8887 0.7513  1 Si 1.66, 1 Al 1.78
O: 0.2687 0.0560 0.3850  1 Si 1.63, 1 Al 1.75
O: 0.2687 0.4440 0.8850  1 Si 1.63, 1 Al 1.75
O: 0.2737 0.0466 0.8773  1 Si 1.61, 1 Al 1.75
O: 0.2737 0.4534 0.3773  1 Si 1.61, 1 Al 1.75
O: 0.3413 0.2465 0.3931  1 Si 1.66, 1 Al 1.78
O: 0.3413 0.2535 0.8931  1 Si 1.66, 1 Al 1.78
O: 0.4194 0.6196 0.6404  1 Si 1.63, 1 Al 1.75
O: 0.4194 0.8804 0.1404  1 Si 1.63, 1 Al 1.75
O: 0.4382 0.6149 0.1295  1 Si 1.62, 1 Al 1.74
O: 0.4377 0.6315 0.4443  1 Si 1.65, 1 Al 1.77
O: 0.4377 0.8685 0.9443  1 Si 1.65, 1 Al 1.77
O: 0.4382 0.8851 0.6295  1 Si 1.62, 1 Al 1.74
O: 0.4548 0.6329 0.9499  1 Si 1.65, 1 Al 1.79
O: 0.4548 0.8671 0.4499  1 Si 1.65, 1 Al 1.79
O: 0.5452 0.1329 0.5501  1 Si 1.65, 1 Al 1.79
O: 0.5452 0.3671 0.0501  1 Si 1.65, 1 Al 1.79
O: 0.5618 0.1149 0.3705  1 Si 1.62, 1 Al 1.74
O: 0.5623 0.1315 0.0557  1 Si 1.65, 1 Al 1.77
O: 0.5623 0.3685 0.5557  1 Si 1.65, 1 Al 1.77
O: 0.5618 0.3851 0.8705  1 Si 1.62, 1 Al 1.74
O: 0.5806 0.1196 0.8596  1 Si 1.63, 1 Al 1.75
O: 0.5806 0.3804 0.3596  1 Si 1.63, 1 Al 1.75
O: 0.6587 0.7465 0.1069  1 Si 1.66, 1 Al 1.78
O: 0.6587 0.7535 0.6069  1 Si 1.66, 1 Al 1.78
O: 0.7263 0.5466 0.6227  1 Si 1.61, 1 Al 1.75
O: 0.7263 0.9534 0.1227  1 Si 1.61, 1 Al 1.75
O: 0.7313 0.5560 0.1150  1 Si 1.63, 1 Al 1.75
O: 0.7313 0.9440 0.6150  1 Si 1.63, 1 Al 1.75
O: 0.7355 0.1113 0.2487  1 Si 1.66, 1 Al 1.78
O: 0.7355 0.3887 0.7487  1 Si 1.66, 1 Al 1.78
O: 0.7568 0.1214 0.7516  1 Si 1.67, 1 Al 1.78
O: 0.7568 0.3786 0.2516  1 Si 1.67, 1 Al 1.78
O: 0.7638 0.5494 0.3612  1 Si 1.63, 1 Al 1.76
O: 0.7638 0.9506 0.8612  1 Si 1.63, 1 Al 1.76
O: 0.7757 0.5623 0.8878  1 Si 1.63, 1 Al 1.74
O: 0.7757 0.9377 0.3878  1 Si 1.63, 1 Al 1.74
O: 0.8493 0.7484 0.4000  1 Si 1.65, 1 Al 1.78
O: 0.8493 0.7516 0.9000  1 Si 1.65, 1 Al 1.78
O: 0.9181 0.1226 0.1465  1 Si 1.64, 1 Al 1.77
O: 0.9181 0.3774 0.6465  1 Si 1.64, 1 Al 1.77
O: 0.9313 0.1238 0.6284  1 Si 1.62, 1 Al 1.74
O: 0.9313 0.3762 0.1284  1 Si 1.62, 1 Al 1.74
O: 0.9350 0.1179 0.9490  1 Si 1.63, 1 Al 1.75
O: 0.9350 0.3821 0.4490  1 Si 1.63, 1 Al 1.75
O: 0.9443 0.1325 0.4474  1 Si 1.65, 1 Al 1.79
O: 0.9443 0.3675 0.9474  1 Si 1.65, 1 Al 1.79

---

Entry 3:
# Hg2P2O7

An optimized crystal structure of Hg2P2O7 (GGA-PBE, Materials Project).

Values from the calculation:
- SG: No. 2
- DFT formation energy: -1974 meV/atom
- Offset from the most stable computed form: 0 meV/atom
- Mass density: 6.1 g/cm3

a b c (Å): 6.8283 7.0289 7.2128
angles (deg): 77.65 67.48 80.20
With the nearest neighbours (Å) after each atom.
Fractional positions:
Hg: 0.1038 0.1732 0.2466  4 O 2.24-2.40
Hg: 0.3028 0.3167 0.6229  2 O 2.17-2.18
Hg: 0.6972 0.6833 0.3771  2 O 2.17-2.18
Hg: 0.8962 0.8268 0.7534  4 O 2.24-2.40
P: 0.2121 0.6598 0.2629  4 O 1.53-1.62
P: 0.3586 0.8706 0.8322  4 O 1.52-1.62
P: 0.6414 0.1294 0.1678  4 O 1.52-1.62
P: 0.7879 0.3402 0.7371  4 O 1.53-1.62
O: 0.0656 0.8307 0.3617  1 P 1.54
O: 0.0804 0.5192 0.2357  1 P 1.53
O: 0.2241 0.7672 0.7665  1 P 1.52
O: 0.2620 0.0812 0.8798  1 P 1.57
O: 0.3705 0.5587 0.3694  1 P 1.55
O: 0.3777 0.7506 0.0436  2 P 1.62
O: 0.4094 0.1292 0.3182  1 P 1.54
O: 0.5906 0.8708 0.6818  1 P 1.54
O: 0.6223 0.2494 0.9564  2 P 1.62
O: 0.6295 0.4413 0.6306  1 P 1.55
O: 0.7380 0.9188 0.1202  1 P 1.57
O: 0.7759 0.2328 0.2335  1 P 1.52
O: 0.9196 0.4808 0.7643  1 P 1.53
O: 0.9344 0.1693 0.6383  1 P 1.54

---

Entry 4:
# Al7Te10

An optimized crystal structure of Al7Te10 (GGA-PBE, Materials Project).

Values from the calculation:
- SG: No. 155
- DFT formation energy: -683 meV/atom
- Maximum piezoelectric response: 0.063 C/m²
- Mass density: 4.2 g/cm3

a b c (Å): 10.4905 10.4905 10.4905
angles (deg): 89.85 89.85 89.85
With the nearest neighbours (Å) after each atom.
Fractional positions:
Al: 0.0718 0.0718 0.0718  1 Al 2.62, 3 Te 2.70
Al: 0.0791 0.3459 0.3897  4 Te 2.60-2.71
Al: 0.1532 0.3368 0.7582  4 Te 2.57-2.70
Al: 0.2418 0.6632 0.8468  4 Te 2.57-2.70
Al: 0.3368 0.7582 0.1532  4 Te 2.57-2.70
Al: 0.3459 0.3897 0.0791  4 Te 2.60-2.71
Al: 0.3897 0.0791 0.3459  4 Te 2.60-2.71
Al: 0.6103 0.6541 0.9209  4 Te 2.60-2.71
Al: 0.6541 0.9209 0.6103  4 Te 2.60-2.71
Al: 0.6632 0.8468 0.2418  4 Te 2.57-2.70
Al: 0.7582 0.1532 0.3368  4 Te 2.57-2.70
Al: 0.8468 0.2418 0.6632  4 Te 2.57-2.70
Al: 0.9209 0.6103 0.6541  4 Te 2.60-2.71
Al: 0.9282 0.9282 0.9282  1 Al 2.62, 3 Te 2.70
Te: 0.0000 0.5794 0.4206  2 Al 2.60
Te: 0.0597 0.8078 0.7418  3 Al 2.67-2.70
Te: 0.0779 0.1712 0.5770  3 Al 2.68-2.70
Te: 0.1712 0.5770 0.0779  3 Al 2.68-2.70
Te: 0.1922 0.9403 0.2582  3 Al 2.67-2.70
Te: 0.2582 0.1922 0.9403  3 Al 2.67-2.70
Te: 0.3193 0.5000 0.6807  2 Al 2.57
Te: 0.3304 0.3304 0.3304  3 Al 2.71
Te: 0.4206 0.0000 0.5794  2 Al 2.60
Te: 0.4230 0.8288 0.9221  3 Al 2.68-2.70
Te: 0.5000 0.6807 0.3193  2 Al 2.57
Te: 0.5770 0.0779 0.1712  3 Al 2.68-2.70
Te: 0.5794 0.4206 0.0000  2 Al 2.60
Te: 0.6696 0.6696 0.6696  3 Al 2.71
Te: 0.6807 0.3193 0.5000  2 Al 2.57
Te: 0.7418 0.0597 0.8078  3 Al 2.67-2.70
Te: 0.8078 0.7418 0.0597  3 Al 2.67-2.70
Te: 0.8288 0.9221 0.4230  3 Al 2.68-2.70
Te: 0.9221 0.4230 0.8288  3 Al 2.68-2.70
Te: 0.9403 0.2582 0.1922  3 Al 2.67-2.70

---

Entry 5:
# LiZr2O4

An optimized crystal structure of LiZr2O4 (GGA-PBE, Materials Project).

Values from the calculation:
- SG: No. 227
- DFT formation energy: -3254 meV/atom
- Offset from the most stable computed form: 24 meV/atom
- Mass density: 4.4 g/cm3
- Total magnetization: 0.000 Bohr magnetons per cell

a b c (Å): 6.4482 6.4482 6.4482
angles (deg): 60.00 60.00 60.00
With the nearest neighbours (Å) after each atom.
Fractional positions:
Li: 0.1250 0.1250 0.1250  4 O 2.17
Li: 0.8750 0.8750 0.8750  4 O 2.17
Zr: 0.0000 0.5000 0.5000  6 O 2.17
Zr: 0.5000 0.0000 0.5000  6 O 2.17
Zr: 0.5000 0.5000 0.0000  6 O 2.17
Zr: 0.5000 0.5000 0.5000  6 O 2.17
O: 0.2624 0.2624 0.2624  1 Li 2.17, 3 Zr 2.17
O: 0.2624 0.2624 0.7127  1 Li 2.17, 3 Zr 2.17
O: 0.2624 0.7127 0.2624  1 Li 2.17, 3 Zr 2.17
O: 0.2873 0.7376 0.7376  1 Li 2.17, 3 Zr 2.17
O: 0.7127 0.2624 0.2624  1 Li 2.17, 3 Zr 2.17
O: 0.7376 0.2873 0.7376  1 Li 2.17, 3 Zr 2.17
O: 0.7376 0.7376 0.2873  1 Li 2.17, 3 Zr 2.17
O: 0.7376 0.7376 0.7376  1 Li 2.17, 3 Zr 2.17